First-principles (r2SCAN) data for a relaxed structure of Rb2SbBr6, as listed in the Materials Project.

Lattice parameters (Å, degrees): 7.608 7.608 7.608 60.00 60.00 60.00
Positions (direct):
1 Rb 0.250 0.250 0.250
2 Rb 0.750 0.750 0.750
3 Sb 0.000 0.000 0.000
4 Br 0.250 0.250 0.750
5 Br 0.250 0.750 0.250
6 Br 0.250 0.750 0.750
7 Br 0.750 0.250 0.250
8 Br 0.750 0.250 0.750
9 Br 0.750 0.750 0.250

Results
- calculated density (g cm⁻³) = 4.1
- VASP energy (Ry per atom) = -1.18009

---

First-principles (r2SCAN) data for a relaxed structure of CaWF6, as listed in the Materials Project.

Lattice parameters (Å, degrees): 5.958 5.958 5.958 56.56 56.56 56.56
Positions (direct):
1 Ca 0.000 0.000 0.000
2 W 0.500 0.500 0.500
3 F 0.177 0.727 0.358
4 F 0.273 0.642 0.823
5 F 0.358 0.177 0.727
6 F 0.642 0.823 0.273
7 F 0.727 0.358 0.177
8 F 0.823 0.273 0.642

Results
- calculated density (g cm⁻³) = 4.1
- VASP energy (Ry per atom) = -0.94089

---

First-principles (r2SCAN) data for a relaxed structure of TbSF, as listed in the Materials Project.

Lattice parameters (Å, degrees): 3.786 3.786 6.823 90.00 90.00 90.00
Positions (direct):
1 Tb 0.250 0.250 0.227
2 Tb 0.750 0.750 0.773
3 S 0.250 0.250 0.646
4 S 0.750 0.750 0.354
5 F 0.250 0.750 0.000
6 F 0.750 0.250 0.000

Results
- calculated density (g cm⁻³) = 7.1
- VASP energy (Ry per atom) = -1.28544

---

First-principles (r2SCAN) data for a relaxed structure of YbPO4, as listed in the Materials Project.

Lattice parameters (Å, degrees): 5.627 5.627 5.627 106.12 106.12 116.40
Positions (direct):
1 Yb 0.375 0.625 0.750
2 Yb 0.625 0.375 0.250
3 P 0.125 0.875 0.250
4 P 0.875 0.125 0.750
5 O 0.140 0.713 0.427
6 O 0.214 0.287 0.927
7 O 0.287 0.214 0.427
8 O 0.287 0.860 0.073
9 O 0.713 0.140 0.927
10 O 0.713 0.786 0.573
11 O 0.786 0.713 0.073
12 O 0.860 0.287 0.573

Results
- calculated density (g cm⁻³) = 6.6
- VASP energy (Ry per atom) = -1.09826

---

First-principles (r2SCAN) data for a relaxed structure of TmCu, as listed in the Materials Project.

Lattice parameters (Å, degrees): 3.384 3.384 3.384 90.00 90.00 90.00
Positions (direct):
1 Tm 0.000 0.000 0.000
2 Cu 0.500 0.500 0.500

Results
- calculated density (g cm⁻³) = 10.0
- VASP energy (Ry per atom) = -1.71140

---

First-principles (r2SCAN) data for a relaxed structure of TaVO4, as listed in the Materials Project.

Lattice parameters (Å, degrees): 5.580 5.580 5.580 107.20 107.20 114.11
Positions (direct):
1 Ta 0.000 0.000 0.000
2 Ta 0.750 0.250 0.500
3 V 0.238 0.738 0.500
4 V 0.488 0.488 0.000
5 O 0.184 0.482 0.702
6 O 0.232 0.030 0.798
7 O 0.232 0.434 0.202
8 O 0.296 0.994 0.302
9 O 0.692 0.994 0.698
10 O 0.744 0.546 0.802
11 O 0.744 0.942 0.198
12 O 0.780 0.482 0.298

Results
- calculated density (g cm⁻³) = 7.4
- VASP energy (Ry per atom) = -1.27675

---

First-principles (r2SCAN) data for a relaxed structure of Eu2AgSn, as listed in the Materials Project.

Lattice parameters (Å, degrees): 5.474 5.474 5.474 60.00 60.00 60.00
Positions (direct):
1 Eu 0.250 0.250 0.250
2 Eu 0.750 0.750 0.750
3 Ag 0.000 0.000 0.000
4 Sn 0.500 0.500 0.500

Results
- calculated density (g cm⁻³) = 7.6
- VASP energy (Ry per atom) = -2.30592

---

First-principles (r2SCAN) data for a relaxed structure of PrGaPd2, as listed in the Materials Project.

Lattice parameters (Å, degrees): 7.621 7.091 5.754 90.00 90.00 90.00
Positions (direct):
1 Pr 0.035 0.250 0.149
2 Pr 0.465 0.750 0.649
3 Pr 0.535 0.250 0.351
4 Pr 0.965 0.750 0.851
5 Ga 0.120 0.750 0.349
6 Ga 0.380 0.250 0.849
7 Ga 0.620 0.750 0.151
8 Ga 0.880 0.250 0.651
9 Pd 0.177 0.053 0.588
10 Pd 0.177 0.447 0.588
11 Pd 0.323 0.553 0.088
12 Pd 0.323 0.947 0.088
13 Pd 0.677 0.053 0.912
14 Pd 0.677 0.447 0.912
15 Pd 0.823 0.553 0.412
16 Pd 0.823 0.947 0.412

Results
- calculated density (g cm⁻³) = 9.0
- VASP energy (Ry per atom) = -1.65855

---

First-principles (r2SCAN) data for a relaxed structure of Tb2P7Rh12, as listed in the Materials Project.

Lattice parameters (Å, degrees): 9.521 9.521 3.864 90.00 90.00 120.00
Positions (direct):
1 Tb 0.333 0.667 0.249
2 Tb 0.667 0.333 0.751
3 P 0.000 0.000 0.000
4 P 0.119 0.405 0.744
5 P 0.286 0.881 0.744
6 P 0.405 0.286 0.256
7 P 0.595 0.714 0.744
8 P 0.714 0.119 0.256
9 P 0.881 0.595 0.256
10 Rh 0.068 0.618 0.750
11 Rh 0.109 0.848 0.251
12 Rh 0.152 0.261 0.251
13 Rh 0.261 0.109 0.749
14 Rh 0.382 0.450 0.750
15 Rh 0.450 0.068 0.250
16 Rh 0.550 0.932 0.750
17 Rh 0.618 0.550 0.250
18 Rh 0.739 0.891 0.251
19 Rh 0.848 0.739 0.749
20 Rh 0.891 0.152 0.749
21 Rh 0.932 0.382 0.250

Results
- calculated density (g cm⁻³) = 9.7
- VASP energy (Ry per atom) = -1.52694

---

First-principles (r2SCAN) data for a relaxed structure of VTeO4, as listed in the Materials Project.

Lattice parameters (Å, degrees): 5.082 4.926 12.669 90.00 106.00 90.00
Positions (direct):
1 V 0.116 0.225 0.067
2 V 0.116 0.275 0.567
3 V 0.884 0.725 0.433
4 V 0.884 0.775 0.933
5 Te 0.323 0.201 0.334
6 Te 0.323 0.299 0.834
7 Te 0.677 0.701 0.166
8 Te 0.677 0.799 0.666
9 O 0.071 0.077 0.202
10 O 0.071 0.423 0.702
11 O 0.128 0.051 0.430
12 O 0.128 0.449 0.930
13 O 0.241 0.551 0.515
14 O 0.241 0.949 0.015
15 O 0.444 0.109 0.661
16 O 0.444 0.391 0.161
17 O 0.556 0.609 0.839
18 O 0.556 0.891 0.339
19 O 0.759 0.051 0.985
20 O 0.759 0.449 0.485
21 O 0.872 0.551 0.070
22 O 0.872 0.949 0.570
23 O 0.929 0.577 0.298
24 O 0.929 0.923 0.798

Results
- calculated density (g cm⁻³) = 5.3
- VASP energy (Ry per atom) = -0.91443

---

First-principles (r2SCAN) data for a relaxed structure of NdAl3, as listed in the Materials Project.

Lattice parameters (Å, degrees): 6.507 6.507 4.602 90.00 90.00 120.00
Positions (direct):
1 Nd 0.333 0.667 0.250
2 Nd 0.667 0.333 0.750
3 Al 0.140 0.279 0.750
4 Al 0.140 0.860 0.750
5 Al 0.279 0.140 0.250
6 Al 0.721 0.860 0.750
7 Al 0.860 0.140 0.250
8 Al 0.860 0.721 0.250

Results
- calculated density (g cm⁻³) = 4.4
- VASP energy (Ry per atom) = -0.94786

---

First-principles (r2SCAN) data for a relaxed structure of LiV2F7, as listed in the Materials Project.

Lattice parameters (Å, degrees): 8.834 8.834 5.476 91.89 91.89 31.28
Positions (direct):
1 Li 0.000 0.500 0.000
2 Li 0.500 0.000 0.500
3 V 0.138 0.649 0.705
4 V 0.351 0.862 0.795
5 V 0.649 0.138 0.205
6 V 0.862 0.351 0.295
7 F 0.003 0.142 0.601
8 F 0.121 0.294 0.306
9 F 0.142 0.003 0.101
10 F 0.292 0.426 0.013
11 F 0.294 0.121 0.806
12 F 0.392 0.608 0.750
13 F 0.426 0.292 0.513
14 F 0.574 0.708 0.487
15 F 0.608 0.392 0.250
16 F 0.706 0.879 0.194
17 F 0.708 0.574 0.987
18 F 0.858 0.997 0.899
19 F 0.879 0.706 0.694
20 F 0.997 0.858 0.399

Results
- calculated density (g cm⁻³) = 3.6
- VASP energy (Ry per atom) = -0.62317